Entry 1:
Al4SiC4: optimized geometry, PBE-GGA.

Cell lengths 3.326, 3.326, 21.956 Å; angles 90.00, 90.00, 120.00 degrees
Fractional coordinates of all 18 atoms:
Al  0.000  0.000  0.000
Al  0.000  0.000  0.188
Al  0.000  0.000  0.500
Al  0.000  0.000  0.688
Al  0.333  0.667  0.099
Al  0.333  0.667  0.294
Al  0.667  0.333  0.599
Al  0.667  0.333  0.794
Si  0.333  0.667  0.892
Si  0.667  0.333  0.392
C  0.000  0.000  0.092
C  0.000  0.000  0.349
C  0.000  0.000  0.592
C  0.000  0.000  0.849
C  0.333  0.667  0.209
C  0.333  0.667  0.972
C  0.667  0.333  0.472
C  0.667  0.333  0.709

Symmetry: P6_3mc
Crystal system: hexagonal

---

Entry 2:
Na8Y2Ti2Si5SO24: optimized geometry, PBE-GGA.

Cell lengths 9.248, 9.265, 22.540 Å; angles 90.27, 90.27, 119.89 degrees
Fractional coordinates of all 126 atoms:
Na  0.000  0.000  0.000
Na  0.000  0.360  0.757
Na  0.036  0.678  0.186
Na  0.037  0.051  0.672
Na  0.282  0.675  0.680
Na  0.307  0.326  0.175
Na  0.317  0.019  0.586
Na  0.317  0.649  0.343
Na  0.328  0.375  0.840
Na  0.353  0.033  0.090
Na  0.369  0.350  0.507
Na  0.375  0.726  0.000
Na  0.613  0.336  0.008
Na  0.622  0.978  0.502
Na  0.647  0.053  0.173
Na  0.652  0.689  0.919
Na  0.659  0.325  0.674
Na  0.666  0.688  0.424
Na  0.680  0.007  0.841
Na  0.700  0.376  0.343
Na  0.960  0.018  0.344
Na  0.976  0.656  0.838
Na  0.995  0.727  0.507
Na  0.997  0.361  0.264
Y  0.324  0.016  0.745
Y  0.332  0.021  0.934
Y  0.334  0.019  0.247
Y  0.648  0.680  0.070
Y  0.663  0.679  0.568
Y  0.995  0.352  0.111
Ti  0.008  0.367  0.603
Ti  0.327  0.016  0.440
Ti  0.640  0.660  0.283
Ti  0.657  0.659  0.776
Ti  0.993  0.349  0.407
Ti  0.995  0.332  0.902
Si  0.005  0.072  0.506
Si  0.011  0.006  0.839
Si  0.025  0.716  0.342
Si  0.280  0.647  0.503
Si  0.287  0.346  0.006
Si  0.319  0.310  0.343
Si  0.328  0.701  0.840
Si  0.359  0.386  0.672
Si  0.368  0.686  0.178
Si  0.630  0.016  0.343
Si  0.643  0.324  0.840
Si  0.661  0.391  0.176
Si  0.701  0.058  0.006
Si  0.705  0.340  0.505
Si  0.957  0.677  0.673
S  0.666  0.981  0.674
S  0.952  0.973  0.177
S  0.998  0.646  0.005
O  0.000  0.529  0.352
O  0.016  0.571  0.061
O  0.027  0.191  0.566
O  0.082  0.958  0.898
O  0.122  0.993  0.179
O  0.134  0.853  0.397
O  0.135  0.782  0.282
O  0.140  0.063  0.784
O  0.146  0.835  0.679
O  0.149  0.814  0.003
O  0.163  0.515  0.850
O  0.163  0.552  0.564
O  0.164  0.344  0.352
O  0.174  0.356  0.950
O  0.174  0.376  0.669
O  0.175  0.056  0.501
O  0.180  0.524  0.448
O  0.189  0.332  0.067
O  0.191  0.512  0.181
O  0.277  0.205  0.281
O  0.283  0.780  0.784
O  0.290  0.830  0.500
O  0.301  0.177  0.003
O  0.340  0.202  0.677
O  0.340  0.847  0.179
O  0.357  0.210  0.397
O  0.374  0.822  0.898
O  0.465  0.668  0.506
O  0.466  0.509  0.730
O  0.468  0.469  0.613
O  0.470  0.515  0.000
O  0.472  0.715  0.117
O  0.482  0.675  0.235
O  0.491  0.209  0.178
O  0.493  0.985  0.397
O  0.495  0.495  0.338
O  0.495  0.683  0.829
O  0.512  0.029  0.002
O  0.517  0.003  0.678
O  0.517  0.254  0.896
O  0.519  0.170  0.501
O  0.568  0.065  0.283
O  0.570  0.203  0.783
O  0.642  0.844  0.338
O  0.643  0.884  0.619
O  0.650  0.476  0.115
O  0.659  0.510  0.830
O  0.670  0.514  0.234
O  0.680  0.894  0.727
O  0.687  0.507  0.505
O  0.703  0.882  0.001
O  0.777  0.160  0.068
O  0.804  0.322  0.565
O  0.818  0.178  0.353
O  0.821  0.148  0.672
O  0.822  0.173  0.950
O  0.823  0.361  0.449
O  0.824  0.848  0.826
O  0.829  0.656  0.729
O  0.831  0.380  0.181
O  0.832  0.358  0.852
O  0.836  0.890  0.507
O  0.842  0.706  0.337
O  0.847  0.664  0.007
O  0.850  0.885  0.229
O  0.877  0.881  0.120
O  0.884  0.718  0.613
O  0.961  0.500  0.669
O  0.966  0.140  0.175
O  0.982  0.542  0.953
O  0.986  0.170  0.449
O  0.989  0.173  0.849

E (MP2020): -938.4 eV per cell
Symmetry: P1
Crystal system: triclinic

---

Entry 3:
Zr5N5O2: optimized geometry, PBE-GGA.

Cell lengths 5.513, 5.513, 18.536 Å; angles 105.18, 105.18, 32.87 degrees
Fractional coordinates of all 24 atoms:
Zr  0.000  0.000  0.000
Zr  0.002  0.002  0.503
Zr  0.188  0.188  0.389
Zr  0.191  0.191  0.890
Zr  0.291  0.291  0.103
Zr  0.300  0.300  0.600
Zr  0.411  0.411  0.310
Zr  0.416  0.416  0.812
Zr  0.597  0.597  0.695
Zr  0.609  0.609  0.201
N  0.039  0.039  0.277
N  0.040  0.040  0.777
N  0.255  0.255  0.207
N  0.567  0.567  0.924
N  0.568  0.568  0.426
N  0.640  0.640  0.072
N  0.643  0.643  0.574
N  0.805  0.805  0.354
N  0.809  0.809  0.855
N  0.956  0.956  0.628
O  0.256  0.256  0.708
O  0.347  0.347  0.495
O  0.348  0.348  0.996
O  0.956  0.956  0.124

E (MP2020): -237.8 eV per cell
Symmetry: Cm
Crystal system: monoclinic

---

Entry 4:
Pd3Pb2Se2: optimized geometry, PBE-GGA.

Cell lengths 6.055, 6.055, 6.055 Å; angles 60.22, 60.22, 60.22 degrees
Fractional coordinates of all 7 atoms:
Pd  0.000  0.500  0.500
Pd  0.500  0.000  0.500
Pd  0.500  0.500  0.000
Pb  0.000  0.000  0.000
Pb  0.500  0.500  0.500
Se  0.215  0.215  0.215
Se  0.785  0.785  0.785

E (MP2020): -33.8 eV per cell
Symmetry: R-3m
Crystal system: trigonal

---

Record-wise energy of formation from the pure elements values, in eV per atom: 0.11, -2.94, -2.05, -0.54